Below is crystalline Ti3O at its relaxed geometry, with properties calculated at the PBE level.

Unit cell a=11.438 b=11.723 c=10.855 alpha=88.79 beta=90.09 gamma=89.19
Sites, in units of the cell vectors:
Ti  0.057  0.517  0.180
Ti  0.102  0.677  0.718
Ti  0.799  0.047  0.734
Ti  0.807  0.999  0.491
Ti  0.516  0.541  0.617
Ti  0.470  0.706  0.039
Ti  0.599  0.726  0.795
O  0.127  0.801  0.125
Ti  0.374  0.852  0.360
Ti  0.276  0.536  0.977
O  0.966  0.922  0.408
Ti  0.396  0.944  0.805
Ti  0.926  0.317  0.729
Ti  0.501  0.967  0.995
Ti  0.818  0.550  0.797
O  0.898  0.451  0.139
Ti  0.470  0.319  0.645
Ti  0.557  0.885  0.192
Ti  0.923  0.570  0.603
Ti  0.767  0.788  0.608
Ti  0.376  0.305  0.902
Ti  0.090  0.691  0.982
O  0.198  0.813  0.647
Ti  0.942  0.366  0.983
Ti  0.082  0.634  0.405
Ti  0.869  0.719  0.212
Ti  0.585  0.123  0.324
Ti  0.856  0.926  0.270
Ti  0.036  0.137  0.124
O  0.810  0.215  0.650
Ti  0.336  0.711  0.805
Ti  0.493  0.755  0.552
Ti  0.198  0.263  0.308
Ti  0.663  0.821  0.382
Ti  0.824  0.586  0.020
Ti  0.391  0.126  0.458
Ti  0.260  0.485  0.286
O  0.288  0.703  0.001
Ti  0.975  0.312  0.250
O  0.932  0.738  0.663
O  0.955  0.602  0.297
Ti  0.252  0.027  0.258
Ti  0.138  0.257  0.812
O  0.767  0.711  0.861
Ti  0.461  0.445  0.127
Ti  0.595  0.399  0.386
Ti  0.727  0.405  0.626
Ti  0.186  0.332  0.054
O  0.904  0.402  0.551
Ti  0.571  0.147  0.828
O  0.516  0.253  0.458
Ti  0.722  0.800  0.018
Ti  0.986  0.078  0.894
O  0.532  0.371  0.964
Ti  0.236  0.963  0.543
Ti  0.027  0.856  0.563
O  0.639  0.517  0.763
Ti  0.647  0.186  0.576
Ti  0.990  0.908  0.067
Ti  0.591  0.241  0.080
O  0.915  0.753  0.024
O  0.229  0.399  0.862
Ti  0.919  0.812  0.835
Ti  0.864  0.480  0.380
O  0.406  0.108  0.878
Ti  0.037  0.076  0.393
Ti  0.695  0.376  0.890
Ti  0.178  0.227  0.553
Ti  0.289  0.483  0.702
Ti  0.269  0.872  0.037
Ti  0.066  0.484  0.822
O  0.098  0.494  0.006
O  0.351  0.017  0.093
Ti  0.088  0.424  0.505
Ti  0.658  0.621  0.192
O  0.436  0.461  0.317
Ti  0.268  0.704  0.516
O  0.471  0.824  0.715
Ti  0.157  0.912  0.801
O  0.621  0.290  0.734
Ti  0.357  0.369  0.456
Ti  0.584  0.965  0.633
Ti  0.245  0.100  0.963
Ti  0.105  0.853  0.303
Ti  0.804  0.152  0.254
Ti  0.746  0.380  0.171
O  0.740  0.150  0.426
Ti  0.804  0.202  0.002
Ti  0.035  0.076  0.665
O  0.211  0.175  0.142
O  0.692  0.999  0.253
Ti  0.253  0.691  0.200
Ti  0.326  0.136  0.709
Ti  0.724  0.020  0.052
Ti  0.471  0.628  0.337
Ti  0.881  0.244  0.479
Ti  0.493  0.521  0.874
Ti  0.686  0.609  0.457
O  0.211  0.112  0.415
Ti  0.396  0.174  0.157

Total energy = -820.598 eV per cell
Total magnetization = 0.04 μB per formula unit
Energy relative to the elements = -1219 meV/atom
Corrected total energy (MP2020 scheme) = -8.3777 eV per atom

Below is crystalline TiO2 at its relaxed geometry, with properties calculated at the PBE level.

Unit cell a=9.904 b=11.715 c=11.739 alpha=94.19 beta=114.91 gamma=114.98
Sites, in units of the cell vectors:
O  0.352  0.700  0.803
Ti  0.568  0.086  0.589
O  0.488  0.344  0.796
O  0.601  0.073  0.752
Ti  0.575  0.749  0.919
O  0.349  0.049  0.476
O  0.723  0.159  0.041
O  0.970  0.186  0.945
O  0.974  0.517  0.613
O  0.120  0.882  0.910
O  0.196  0.985  0.183
O  0.349  0.367  0.139
O  0.850  0.869  0.654
O  0.607  0.967  0.519
Ti  0.165  0.337  0.982
O  0.716  0.254  0.602
O  0.608  0.739  0.083
Ti  0.074  0.909  0.750
O  0.212  0.329  0.848
Ti  0.752  0.084  0.917
O  0.123  0.540  0.241
O  0.117  0.146  0.321
O  0.849  0.523  0.991
Ti  0.262  0.243  0.750
Ti  0.075  0.571  0.083
O  0.484  0.679  0.468
Ti  0.258  0.576  0.417
O  0.217  0.419  0.450
O  0.478  0.011  0.136
O  0.737  0.501  0.710
O  0.708  0.587  0.268
O  0.128  0.475  0.996
Ti  0.075  0.244  0.416
O  0.207  0.746  0.111
Ti  0.252  0.906  0.085
O  0.121  0.807  0.665
Ti  0.666  0.167  0.170
O  0.129  0.215  0.575
Ti  0.747  0.751  0.252
Ti  0.663  0.839  0.501
O  0.711  0.919  0.929
Ti  0.572  0.415  0.255
Ti  0.164  0.671  0.650
Ti  0.158  0.008  0.320
O  0.622  0.302  0.189
O  0.604  0.403  0.419
Ti  0.674  0.503  0.836
O  0.211  0.083  0.777
Ti  0.756  0.417  0.585
O  0.707  0.830  0.365
O  0.970  0.858  0.295
O  0.204  0.661  0.512
O  0.848  0.196  0.325
O  0.628  0.636  0.856

Total energy = -482.042 eV per cell
Total magnetization = 0.00 μB per formula unit
Energy relative to the elements = -3454 meV/atom
Corrected total energy (MP2020 scheme) = -9.3847 eV per atom

Below is crystalline Ti4O5 at its relaxed geometry, with properties calculated at the PBE level.

Unit cell a=5.140 b=5.140 c=5.140 alpha=99.55 beta=99.55 gamma=131.92
Sites, in units of the cell vectors:
O  0.909  0.310  0.219
Ti  0.784  0.608  0.391
O  0.091  0.690  0.781
Ti  0.392  0.784  0.176
O  0.310  0.091  0.401
Ti  0.608  0.216  0.824
O  0.500  0.500  0.000
Ti  0.216  0.392  0.609
O  0.690  0.909  0.599

Total energy = -80.706 eV per cell
Energy relative to the elements = -3091 meV/atom
Corrected total energy (MP2020 scheme) = -9.3490 eV per atom

Below is crystalline Ti3O at its relaxed geometry, with properties calculated at the PBE level.

Unit cell a=10.927 b=12.393 c=10.677 alpha=90.84 beta=87.44 gamma=83.64
Sites, in units of the cell vectors:
Ti  0.776  0.436  0.112
O  0.079  0.914  0.710
O  0.467  0.600  0.760
Ti  0.331  0.984  0.341
Ti  0.094  0.994  0.043
Ti  0.066  0.247  0.713
O  0.347  0.261  0.513
Ti  0.624  0.116  0.729
Ti  0.689  0.559  0.871
Ti  0.424  0.243  0.898
Ti  0.874  0.129  0.637
O  0.728  0.395  0.868
Ti  0.697  0.014  0.949
Ti  0.658  0.978  0.264
Ti  0.527  0.407  0.118
O  0.901  0.682  0.318
Ti  0.691  0.531  0.566
O  0.825  0.344  0.266
Ti  0.573  0.551  0.344
Ti  0.700  0.792  0.839
Ti  0.034  0.758  0.744
O  0.818  0.399  0.503
Ti  0.262  0.092  0.868
Ti  0.518  0.141  0.108
Ti  0.762  0.920  0.625
O  0.041  0.590  0.630
Ti  0.525  0.437  0.826
Ti  0.989  0.906  0.554
Ti  0.543  0.934  0.491
Ti  0.662  0.368  0.395
Ti  0.651  0.823  0.079
O  0.688  0.655  0.717
Ti  0.868  0.612  0.706
Ti  0.694  0.253  0.943
Ti  0.232  0.818  0.191
Ti  0.050  0.482  0.080
Ti  0.428  0.183  0.355
Ti  0.951  0.850  0.277
Ti  0.476  0.935  0.778
O  0.823  0.615  0.513
Ti  0.538  0.738  0.643
Ti  0.508  0.300  0.600
Ti  0.438  0.514  0.596
Ti  0.348  0.576  0.222
Ti  0.415  0.690  0.929
O  0.029  0.758  0.138
Ti  0.117  0.390  0.306
Ti  0.087  0.028  0.322
Ti  0.494  0.807  0.270
O  0.582  0.278  0.774
Ti  0.961  0.177  0.936
Ti  0.331  0.874  0.574
Ti  0.324  0.322  0.156
O  0.443  0.103  0.782
O  0.592  0.137  0.279
O  0.664  0.813  0.548
Ti  0.912  0.607  0.928
Ti  0.874  0.495  0.344
Ti  0.891  0.842  0.010
Ti  0.394  0.690  0.444
Ti  0.749  0.336  0.672
O  0.289  0.988  0.710
O  0.262  0.606  0.879
Ti  0.874  0.046  0.137
Ti  0.135  0.048  0.603
O  0.382  0.097  0.010
Ti  0.371  0.114  0.609
Ti  0.161  0.311  0.945
O  0.055  0.861  0.927
Ti  0.164  0.799  0.422
Ti  0.393  0.935  0.048
Ti  0.120  0.531  0.791
Ti  0.295  0.681  0.714
O  0.229  0.985  0.173
Ti  0.192  0.567  0.511
Ti  0.996  0.420  0.574
Ti  0.362  0.401  0.405
O  0.598  0.697  0.954
Ti  0.172  0.229  0.455
Ti  0.249  0.146  0.154
Ti  0.583  0.620  0.119
Ti  0.090  0.632  0.271
Ti  0.969  0.692  0.492
Ti  0.850  0.030  0.405
Ti  0.915  0.397  0.855
O  0.563  0.907  0.937
Ti  0.265  0.360  0.664
Ti  0.853  0.653  0.148
Ti  0.720  0.739  0.391
Ti  0.304  0.478  0.985
Ti  0.728  0.218  0.210
Ti  0.938  0.984  0.819
O  0.280  0.804  0.004
Ti  0.125  0.698  0.981
O  0.222  0.508  0.335
Ti  0.225  0.879  0.837
Ti  0.903  0.255  0.419
Ti  0.659  0.152  0.466
Ti  0.987  0.252  0.172
O  0.193  0.583  0.111

Total energy = -826.575 eV per cell
Total magnetization = 0.00 μB per formula unit
Energy relative to the elements = -1279 meV/atom
Corrected total energy (MP2020 scheme) = -8.4375 eV per atom

Below is crystalline Ti2O3 at its relaxed geometry, with properties calculated at the PBE level.

Unit cell a=5.168 b=5.168 c=9.608 alpha=90.00 beta=90.00 gamma=120.00
Sites, in units of the cell vectors:
Ti  0.667  0.333  0.477
O  0.350  0.026  0.884
Ti  0.000  0.000  0.500
Ti  0.333  0.667  0.977
Ti  0.667  0.333  0.023
O  0.324  0.350  0.116
O  0.650  0.676  0.384
O  0.974  0.650  0.616
Ti  0.667  0.333  0.750
O  0.324  0.974  0.384
O  0.026  0.350  0.384
Ti  0.333  0.667  0.523
O  0.676  0.026  0.616
O  0.026  0.676  0.116
O  0.974  0.324  0.884
Ti  0.333  0.667  0.250
O  0.650  0.974  0.116
O  0.350  0.324  0.616
Ti  0.000  0.000  0.000
O  0.676  0.650  0.884

Total energy = -178.785 eV per cell
Energy relative to the elements = -3224 meV/atom
Corrected total energy (MP2020 scheme) = -9.3514 eV per atom

Below is crystalline TiO2 at its relaxed geometry, with properties calculated at the PBE level.

Unit cell a=3.767 b=6.435 c=6.616 alpha=106.18 beta=90.00 gamma=107.02
Sites, in units of the cell vectors:
O  0.942  0.883  0.630
Ti  0.100  0.200  0.710
O  0.263  0.527  0.652
O  0.362  0.724  0.293
O  0.058  0.117  0.370
O  0.133  0.266  0.005
Ti  0.805  0.609  0.716
O  0.638  0.276  0.707
Ti  0.900  0.800  0.290
O  0.867  0.734  0.995
Ti  0.195  0.391  0.284
O  0.737  0.473  0.348

Total energy = -107.689 eV per cell
Energy relative to the elements = -3502 meV/atom
Corrected total energy (MP2020 scheme) = -9.4321 eV per atom